[1]
! Ga3Ni2 | the Materials Project | PBE | relaxed; values from VASP
&SYSTEM
  ibrav = 0, nat = 5, ntyp = 2
/
ATOMIC_SPECIES
Ga 69.72 Ga.upf
Ni 58.69 Ni.upf
CELL_PARAMETERS angstrom
-2.0445 -3.5412 0.0000
-2.0445 3.5412 0.0000
0.0000 0.0000 -4.8746
ATOMIC_POSITIONS crystal
Ga 0.0000 0.0000 0.0000
Ga 0.6667 0.3333 0.6383
Ga 0.3333 0.6667 0.3617
Ni 0.6667 0.3333 0.1364
Ni 0.3333 0.6667 0.8636
! * formation energy: -0.4084 eV per atom

=====

[2]
! GaNi10P3 | the Materials Project | PBE | relaxed; values from VASP
&SYSTEM
  ibrav = 0, nat = 42, ntyp = 3
/
ATOMIC_SPECIES
Ga 69.72 Ga.upf
Ni 58.69 Ni.upf
P 30.97 P.upf
CELL_PARAMETERS angstrom
0.1869 3.6769 6.6705
-0.2140 3.9405 -6.5174
-9.4167 -0.0393 0.2855
ATOMIC_POSITIONS crystal
Ga 0.3333 0.6667 0.3604
Ga 0.6667 0.3333 0.6396
Ga 0.0000 0.0000 0.0000
Ni 0.3399 0.0000 0.5000
Ni 0.6601 0.0000 0.5000
Ni 0.0000 0.3399 0.5000
Ni 0.0000 0.6601 0.5000
Ni 0.6601 0.6601 0.5000
Ni 0.3399 0.3399 0.5000
Ni 0.0000 0.0000 0.3801
Ni 0.0000 0.0000 0.6199
Ni 0.8149 0.1851 0.0675
Ni 0.1851 0.8149 0.9325
Ni 0.8149 0.6299 0.0675
Ni 0.1851 0.3701 0.9325
Ni 0.3701 0.1851 0.0675
Ni 0.6299 0.8149 0.9325
Ni 0.3333 0.6667 0.1011
Ni 0.6667 0.3333 0.8989
Ni 0.5060 0.4940 0.2435
Ni 0.4940 0.5060 0.7565
Ni 0.5060 0.0120 0.2435
Ni 0.4940 0.9880 0.7565
Ni 0.9880 0.4940 0.2435
Ni 0.0120 0.5060 0.7565
Ni 0.3333 0.6667 0.6102
Ni 0.6667 0.3333 0.3898
Ni 0.1354 0.8646 0.1991
Ni 0.8646 0.1354 0.8009
Ni 0.1354 0.2708 0.1991
Ni 0.8646 0.7292 0.8009
Ni 0.7292 0.8646 0.1991
Ni 0.2708 0.1354 0.8009
P 0.5000 0.0000 0.0000
P 0.0000 0.5000 0.0000
P 0.5000 0.5000 0.0000
P 0.8346 0.1654 0.3091
P 0.1654 0.8346 0.6909
P 0.8346 0.6691 0.3091
P 0.1654 0.3309 0.6909
P 0.3309 0.1654 0.3091
P 0.6691 0.8346 0.6909
! * size of the total moment: 0.001 μB/f.u.
! * formation energy: -0.4606 eV per atom

=====

[3]
! PaGaNi2 | the Materials Project | PBE | relaxed; values from VASP
&SYSTEM
  ibrav = 0, nat = 4, ntyp = 3
/
ATOMIC_SPECIES
Pa 231.04 Pa.upf
Ga 69.72 Ga.upf
Ni 58.69 Ni.upf
CELL_PARAMETERS angstrom
0.7727 -3.8150 2.2642
-0.8957 -0.2233 4.4074
-3.4556 -2.4837 1.4723
ATOMIC_POSITIONS crystal
Pa 0.5000 0.5000 0.5000
Ga 0.0000 0.0000 0.0000
Ni 0.7500 0.7500 0.7500
Ni 0.2500 0.2500 0.2500
! * formation energy: -0.3956 eV per atom

=====

[4]
! PrGa2Ni | the Materials Project | PBE | relaxed; values from VASP
&SYSTEM
  ibrav = 0, nat = 8, ntyp = 3
/
ATOMIC_SPECIES
Pr 140.91 Pr.upf
Ga 69.72 Ga.upf
Ni 58.69 Ni.upf
CELL_PARAMETERS angstrom
-4.2191 0.0000 0.0000
0.0000 0.0000 -4.2213
2.1096 -8.7625 0.0000
ATOMIC_POSITIONS crystal
Pr 0.6422 0.5000 0.2845
Pr 0.3578 0.5000 0.7155
Ga 0.7906 0.0000 0.5812
Ga 0.2094 0.0000 0.4188
Ga 0.0000 0.5000 0.0000
Ga 0.5000 0.0000 0.0000
Ni 0.9279 0.0000 0.8558
Ni 0.0721 0.0000 0.1442
! * formation energy: -0.6223 eV per atom